Computed, not measured: a geometry-optimized Ce3Ge13Os4 structure at the r2SCAN level of DFT.

The formation energy is -0.36 eV/atom.

The space group is Pm-3n (No. 223) and the conventional cell measures 9.0904, 9.0904 and 9.0904 Å, with angles of 90.00, 90.00 and 90.00 degrees. Symmetry generates all atoms from Ce at (0.0000, 0.2500, 0.5000), Ge at (0.0000, 0.0000, 0.0000), Ge at (0.0000, 0.2964, 0.1454) and Os at (0.2500, 0.2500, 0.2500).